Here is crystalline Y3CrS6 at its relaxed geometry from the Materials Project. Energies are from PBE.

abc: 13.295 16.013 3.782
angles: 90.00 90.00 90.00
Fractional positions:
Y  0.050  0.219  0.000
Y  0.180  0.648  0.000
Y  0.246  0.902  0.500
Y  0.254  0.402  0.000
Y  0.320  0.148  0.500
Y  0.450  0.719  0.500
Y  0.550  0.281  0.500
Y  0.680  0.852  0.500
Y  0.746  0.598  0.000
Y  0.754  0.098  0.500
Y  0.820  0.352  0.000
Y  0.950  0.781  0.000
Cr  0.000  0.000  0.500
Cr  0.000  0.500  0.500
Cr  0.500  0.000  0.000
Cr  0.500  0.500  0.000
S  0.024  0.403  0.000
S  0.082  0.926  0.000
S  0.104  0.755  0.500
S  0.121  0.107  0.500
S  0.179  0.521  0.500
S  0.188  0.289  0.500
S  0.312  0.789  0.000
S  0.321  0.021  0.000
S  0.379  0.607  0.000
S  0.396  0.255  0.000
S  0.418  0.426  0.500
S  0.476  0.903  0.500
S  0.524  0.097  0.500
S  0.582  0.574  0.500
S  0.604  0.745  0.000
S  0.621  0.393  0.000
S  0.679  0.979  0.000
S  0.688  0.211  0.000
S  0.812  0.711  0.500
S  0.821  0.479  0.500
S  0.879  0.893  0.500
S  0.896  0.245  0.500
S  0.918  0.074  0.000
S  0.976  0.597  0.000

---

Here is crystalline GdCo9Si4 at its relaxed geometry from the Materials Project. Energies are from PBE.

Computed properties:
- ΔE to the lowest computed polymorph: 277 meV/atom

abc: 8.118 8.118 8.118
angles: 122.72 122.72 85.36
Fractional positions:
Gd  0.250  0.250  0.000
Gd  0.750  0.750  0.000
Co  0.000  0.000  0.000
Co  0.022  0.727  0.749
Co  0.062  0.562  0.264
Co  0.202  0.938  0.500
Co  0.227  0.522  0.749
Co  0.273  0.022  0.295
Co  0.298  0.798  0.736
Co  0.438  0.702  0.500
Co  0.478  0.227  0.705
Co  0.500  0.500  0.000
Co  0.522  0.773  0.295
Co  0.562  0.298  0.500
Co  0.702  0.202  0.264
Co  0.727  0.978  0.705
Co  0.773  0.478  0.251
Co  0.798  0.062  0.500
Co  0.938  0.438  0.736
Co  0.978  0.273  0.251
Si  0.045  0.184  0.500
Si  0.184  0.684  0.139
Si  0.316  0.455  0.500
Si  0.455  0.955  0.139
Si  0.545  0.045  0.861
Si  0.684  0.545  0.500
Si  0.816  0.316  0.861
Si  0.955  0.816  0.500

---

| no. | energy of formation (eV/atom) |
| --- | --- |
| 1 | -2.027 |
| 2 | -0.189 |